Record 1
A geometry-optimized Li2V3SnO8 structure, computed with PBE with a Hubbard U.

Results
- spin magnetization (μB per formula unit) = 2.00
- ρ (Mg/m³) = 4.37
- calculated formation energy (eV per formula unit) = -33.19
- total energy after the MP2020 corrections (eV per atom) = -7.704

Cell and atoms, written as POSCAR:
```
Li2V3SnO8
1.0
-3.038 5.261 -0.004
-2.998 -1.740 9.929
2.990 5.233 0.000
O Li V Sn
16 4 6 2
direct
0.885 0.374 0.766 O
0.111 0.144 0.773 O
0.616 0.644 0.773 O
0.115 0.624 0.775 O
0.625 0.115 0.211 O
0.607 0.125 0.780 O
0.385 0.877 0.237 O
0.127 0.618 0.209 O
0.666 0.615 0.210 O
0.879 0.377 0.233 O
0.337 0.375 0.770 O
0.392 0.874 0.773 O
0.892 0.856 0.217 O
0.392 0.355 0.215 O
0.848 0.874 0.769 O
0.165 0.118 0.206 O
0.246 0.253 0.496 Li
0.311 0.554 0.366 Li
0.821 0.054 0.369 Li
0.757 0.753 0.497 Li
0.735 0.251 0.003 V
0.237 0.750 0.010 V
0.988 0.516 0.014 V
0.496 0.015 0.019 V
0.761 0.750 0.004 V
0.253 0.251 0.008 V
0.181 0.944 0.650 Sn
0.673 0.444 0.646 Sn
```

Record 2
A geometry-optimized Li9Mn2Co5O16 structure, computed with PBE with a Hubbard U.

Results
- spin magnetization (μB per formula unit) = 12.00
- ρ (Mg/m³) = 4.17
- calculated formation energy (eV per formula unit) = -58.70
- total energy after the MP2020 corrections (eV per atom) = -6.529

Cell and atoms, written as POSCAR:
```
Li9Mn2Co5O16
1.0
5.811 0.000 0.000
0.000 5.843 0.000
0.000 0.046 8.473
O Co Li Mn
16 5 9 2
direct
0.236 0.486 0.758 O
0.753 0.525 0.246 O
0.502 0.232 0.998 O
0.764 0.986 0.249 O
0.236 0.514 0.242 O
0.012 0.266 0.522 O
0.248 0.977 0.243 O
0.764 0.014 0.751 O
0.753 0.475 0.754 O
0.479 0.269 0.510 O
0.000 0.767 0.018 O
0.248 0.023 0.757 O
0.000 0.233 0.982 O
0.012 0.734 0.478 O
0.502 0.768 0.002 O
0.479 0.731 0.490 O
0.505 0.742 0.257 Co
0.249 0.500 0.500 Co
0.748 0.000 0.000 Co
0.256 0.000 0.000 Co
0.505 0.258 0.743 Co
0.748 0.000 0.500 Li
0.251 0.000 0.500 Li
0.746 0.500 0.000 Li
0.746 0.500 0.500 Li
0.501 0.747 0.741 Li
0.253 0.500 0.000 Li
0.501 0.253 0.259 Li
0.998 0.254 0.257 Li
0.998 0.746 0.743 Li
0.003 0.255 0.748 Mn
0.003 0.745 0.252 Mn
```

- Which value of spin magnetization does entry 2 give?
  12.00 μB per formula unit